1.
Na2MgNb2Cu4S8: relaxed, GGA-PBE.

Calculated values
**Energy**: -84.96 eV/cell
**Energy relative to the elements**: -0.885 eV per atom

Cell: 5.689 7.718 9.750 Å, 90.59 106.96 90.00°
Positions (direct):
Cu: 0.388 0.737 0.220
Cu: 0.168 0.263 0.780
Cu: 0.772 0.000 0.000
Cu: 0.743 0.500 0.000
S: 0.240 0.749 0.415
S: 0.426 0.494 0.790
S: 0.637 0.506 0.210
S: 0.629 0.998 0.212
S: 0.015 0.744 0.005
S: 0.011 0.256 0.995
S: 0.825 0.251 0.585
S: 0.417 0.002 0.788
Nb: 0.891 0.749 0.223
Nb: 0.668 0.251 0.777
Na: 0.655 0.743 0.658
Na: 0.997 0.257 0.342
Mg: 0.274 0.000 0.000

=====

2.
MgPH6NO5: relaxed, GGA-PBE.

Calculated values
**Energy**: -149.96 eV/cell
**Energy relative to the elements**: -1.284 eV per atom

Cell: 5.399 7.181 10.283 Å, 90.00 90.00 90.00°
Positions (direct):
O: 0.966 0.500 0.373
O: 0.466 0.000 0.627
O: 0.663 0.331 0.639
O: 0.010 0.000 0.154
O: 0.741 0.000 0.348
O: 0.163 0.831 0.361
O: 0.663 0.669 0.639
O: 0.510 0.500 0.846
O: 0.163 0.169 0.361
O: 0.241 0.500 0.652
H: 0.535 0.552 0.155
H: 0.179 0.500 0.977
H: 0.060 0.384 0.349
H: 0.178 0.000 0.115
H: 0.678 0.500 0.885
H: 0.679 0.000 0.023
H: 0.060 0.616 0.349
H: 0.560 0.116 0.651
H: 0.535 0.448 0.155
H: 0.035 0.052 0.845
H: 0.560 0.884 0.651
H: 0.035 0.948 0.845
P: 0.511 0.500 0.690
P: 0.011 0.000 0.310
N: 0.492 0.000 0.048
N: 0.992 0.500 0.952
Mg: 0.430 0.000 0.436
Mg: 0.930 0.500 0.564

=====

- Which value of energy relative to the elements does entry 1 give?
  -0.885 eV per atom

=====

Copy entry 2 word for word.
MgPH6NO5: relaxed, GGA-PBE.

Calculated values
**Energy**: -149.96 eV/cell
**Energy relative to the elements**: -1.284 eV per atom

Cell: 5.399 7.181 10.283 Å, 90.00 90.00 90.00°
Positions (direct):
O: 0.966 0.500 0.373
O: 0.466 0.000 0.627
O: 0.663 0.331 0.639
O: 0.010 0.000 0.154
O: 0.741 0.000 0.348
O: 0.163 0.831 0.361
O: 0.663 0.669 0.639
O: 0.510 0.500 0.846
O: 0.163 0.169 0.361
O: 0.241 0.500 0.652
H: 0.535 0.552 0.155
H: 0.179 0.500 0.977
H: 0.060 0.384 0.349
H: 0.178 0.000 0.115
H: 0.678 0.500 0.885
H: 0.679 0.000 0.023
H: 0.060 0.616 0.349
H: 0.560 0.116 0.651
H: 0.535 0.448 0.155
H: 0.035 0.052 0.845
H: 0.560 0.884 0.651
H: 0.035 0.948 0.845
P: 0.511 0.500 0.690
P: 0.011 0.000 0.310
N: 0.492 0.000 0.048
N: 0.992 0.500 0.952
Mg: 0.430 0.000 0.436
Mg: 0.930 0.500 0.564

=====

- Among the records above, which one has the highest energy?
  Na2MgNb2Cu4S8